[1]
VASP calculation (GGA-PBE) on crystalline Cs7O at its relaxed geometry.

For the formation energy, the calculation gives -0.460 eV/atom. The calculation puts the calculated volume at 91.780 Å³/atom.

The space group is P-6m2 (No. 187) and the conventional cell measures 16.5275, 16.5275 and 9.3113 Å, with angles of 90.00, 90.00 and 120.00 degrees. Symmetry generates all atoms from Cs at (0.0000, 0.0000, 0.0000), Cs at (0.1013, 0.5506, 0.5000), Cs at (0.1118, 0.2237, 0.5000), Cs at (0.2160, 0.4320, 0.0000), Cs at (0.3745, 0.1873, 0.2195), Cs at (0.5512, 0.1024, 0.0000), Cs at (0.6667, 0.3333, 0.2044) and O at (0.5053, 0.2526, 0.0000).

[2]
VASP calculation (GGA-PBE) on crystalline Ag2Hg7As4I6 at its relaxed geometry.

For the formation energy, the calculation gives -0.290 eV/atom. The calculation puts the calculated volume at 32.966 Å³/atom.

The space group is Pa-3 (No. 205) and the conventional cell measures 13.582, 13.582 and 13.582 Å, with angles of 90.00, 90.00 and 90.00 degrees. Symmetry generates all atoms from Ag at (0.221, 0.221, 0.221), Hg at (0.000, 0.000, 0.500), Hg at (0.053, 0.711, 0.419), As at (0.052, 0.052, 0.052), As at (0.110, 0.610, 0.890) and I at (0.057, 0.246, 0.836).

What did the first record say?
VASP calculation (GGA-PBE) on crystalline Cs7O at its relaxed geometry.

For the formation energy, the calculation gives -0.460 eV/atom. The calculation puts the calculated volume at 91.780 Å³/atom.

The space group is P-6m2 (No. 187) and the conventional cell measures 16.5275, 16.5275 and 9.3113 Å, with angles of 90.00, 90.00 and 120.00 degrees. Symmetry generates all atoms from Cs at (0.0000, 0.0000, 0.0000), Cs at (0.1013, 0.5506, 0.5000), Cs at (0.1118, 0.2237, 0.5000), Cs at (0.2160, 0.4320, 0.0000), Cs at (0.3745, 0.1873, 0.2195), Cs at (0.5512, 0.1024, 0.0000), Cs at (0.6667, 0.3333, 0.2044) and O at (0.5053, 0.2526, 0.0000).